Entry a
First-principles (PBE with a Hubbard U) data for a relaxed MgVF5 crystal, as listed in Materials Project.

- Crystal system: monoclinic
- Symmetry: C2/c (15)

Lattice parameters (Å, degrees): 5.324 5.324 7.567 68.86 68.86 71.54
Atoms (fractional coordinates):
Mg 0.472 0.528 0.750
Mg 0.528 0.472 0.250
V 0.000 0.000 0.500
V 0.000 0.000 0.000
F 0.128 0.872 0.750
F 0.725 0.778 0.629
F 0.778 0.725 0.129
F 0.321 0.712 0.053
F 0.679 0.288 0.947
F 0.288 0.679 0.447
F 0.275 0.222 0.371
F 0.712 0.321 0.553
F 0.222 0.275 0.871
F 0.872 0.128 0.250

Entry b
First-principles (PBE with a Hubbard U) data for a relaxed MgVF5 crystal, as listed in Materials Project.

- Crystal system: monoclinic
- Symmetry: P2_1/c (14)

Lattice parameters (Å, degrees): 9.772 5.192 7.566 69.64 90.00 90.00
Atoms (fractional coordinates):
F 0.821 0.165 0.336
F 0.895 0.360 0.991
F 0.889 0.394 0.578
F 0.111 0.606 0.422
F 0.868 0.791 0.153
F 0.401 0.149 0.800
F 0.901 0.851 0.700
F 0.611 0.394 0.078
F 0.599 0.851 0.200
F 0.389 0.606 0.922
F 0.679 0.165 0.836
F 0.321 0.835 0.164
F 0.179 0.835 0.664
F 0.632 0.791 0.653
F 0.099 0.149 0.300
F 0.368 0.209 0.347
F 0.105 0.640 0.009
F 0.395 0.640 0.509
F 0.605 0.360 0.491
F 0.132 0.209 0.847
Mg 0.512 0.475 0.748
Mg 0.012 0.525 0.752
Mg 0.488 0.525 0.252
Mg 0.988 0.475 0.248
V 0.247 0.896 0.398
V 0.747 0.104 0.102
V 0.253 0.896 0.898
V 0.753 0.104 0.602

Energy comparison, zero being the most stable, in meV/atom: entry a 0; entry b 19.

Entry a
First-principles (PBE with a Hubbard U) data for a relaxed MnNF3 crystal, as listed in Materials Project.

- Crystal system: tetragonal
- Symmetry: P4/mbm (127)

Lattice parameters (Å, degrees): 5.695 5.695 3.957 90.00 90.00 90.00
Atoms (fractional coordinates):
N 0.000 0.000 0.500
N 0.500 0.500 0.500
F 0.500 0.000 0.500
F 0.765 0.265 0.000
F 0.265 0.235 0.000
F 0.735 0.765 0.000
F 0.235 0.735 0.000
F 0.000 0.500 0.500
Mn 0.500 0.000 0.000
Mn 0.000 0.500 0.000

Entry b
First-principles (PBE with a Hubbard U) data for a relaxed MnNF3 crystal, as listed in Materials Project.

- Crystal system: orthorhombic
- Symmetry: Pnma (62)

Lattice parameters (Å, degrees): 5.604 5.658 8.055 90.00 90.00 90.00
Atoms (fractional coordinates):
F 0.251 0.267 0.996
F 0.749 0.733 0.496
F 0.001 0.010 0.250
F 0.499 0.510 0.750
F 0.751 0.233 0.996
F 0.751 0.233 0.504
F 0.249 0.767 0.496
F 0.999 0.990 0.750
F 0.251 0.267 0.504
F 0.749 0.733 0.004
F 0.501 0.490 0.250
F 0.249 0.767 0.004
Mn 0.000 0.000 0.500
Mn 0.000 0.000 0.000
Mn 0.500 0.500 0.500
Mn 0.500 0.500 0.000
N 0.503 0.003 0.250
N 0.003 0.497 0.250
N 0.997 0.503 0.750
N 0.497 0.997 0.750

Energy comparison, zero being the most stable, in meV/atom: entry a 0; entry b 9.